(1)
Density functional theory data (PBE with a Hubbard U) for Li4Mn5P6O22 after structural relaxation.

Cell lengths 12.7901, 6.6901, 10.9992 Å; angles 90.00, 103.25, 90.00 degrees
Closest atoms and distances in Å follow each position.
Element x y z (fractional)
Li1 0.1652 0.0271 0.1133  3 O 2.07-2.15
Li2 0.1652 0.4729 0.6133  3 O 2.07-2.15
Li3 0.3143 0.6542 0.4318  2 O 1.98-2.04
Li4 0.3143 0.8458 0.9318  2 O 1.98-2.04
Li5 0.6857 0.1542 0.0682  2 O 1.98-2.04
Li6 0.6857 0.3458 0.5682  2 O 1.98-2.04
Li7 0.8348 0.5271 0.3867  3 O 2.07-2.15
Li8 0.8348 0.9729 0.8867  3 O 2.07-2.15
Mn1 0.1533 0.0066 0.6979  5 O 2.13-2.33
Mn2 0.1533 0.4934 0.1979  5 O 2.13-2.33
Mn3 0.3681 0.2448 0.7184  6 O 2.18-2.25
Mn4 0.3681 0.2552 0.2184  6 O 2.18-2.25
Mn5 0.5000 0.0000 0.5000  6 O 2.12-2.27
Mn6 0.5000 0.5000 0.0000  6 O 2.12-2.27
Mn7 0.6319 0.7448 0.7816  6 O 2.18-2.25
Mn8 0.6319 0.7552 0.2816  6 O 2.18-2.25
Mn9 0.8467 0.5066 0.8021  5 O 2.13-2.33
Mn10 0.8467 0.9934 0.3021  5 O 2.13-2.33
P1 0.0820 0.7234 0.9236  4 O 1.52-1.64
P2 0.0820 0.7766 0.4236  4 O 1.52-1.64
P3 0.2327 0.1074 0.4314  4 O 1.52-1.63
P4 0.2327 0.3926 0.9314  4 O 1.52-1.63
P5 0.4049 0.7368 0.7211  4 O 1.55-1.57
P6 0.4049 0.7632 0.2211  4 O 1.55-1.57
P7 0.5951 0.2368 0.7789  4 O 1.55-1.57
P8 0.5951 0.2632 0.2789  4 O 1.55-1.57
P9 0.7673 0.6074 0.0686  4 O 1.52-1.63
P10 0.7673 0.8926 0.5686  4 O 1.52-1.63
P11 0.9180 0.2234 0.5764  4 O 1.52-1.64
P12 0.9180 0.2766 0.0764  4 O 1.52-1.64
O1 0.0371 0.2373 0.6375  1 P 1.52
O2 0.0371 0.2627 0.1375  1 P 1.52
O3 0.1090 0.7349 0.0673  1 P 1.54
O4 0.1090 0.7651 0.5673  1 P 1.54
O5 0.1169 0.5017 0.8828  2 P 1.63-1.64
O6 0.1169 0.9983 0.3828  2 P 1.63-1.64
O7 0.1516 0.6239 0.3737  1 P 1.54
O8 0.1516 0.8761 0.8737  1 P 1.54
O9 0.2279 0.2149 0.5541  1 P 1.54
O10 0.2279 0.2851 0.0541  1 P 1.54
O11 0.2423 0.2492 0.8256  1 P 1.53
O12 0.2423 0.2508 0.3256  1 P 1.53
O13 0.3198 0.5521 0.9524  1 P 1.52
O14 0.3198 0.9479 0.4524  1 P 1.52
O15 0.3315 0.5570 0.6708  1 P 1.55
O16 0.3315 0.9430 0.1708  1 P 1.55
O17 0.3339 0.5815 0.2419  1 P 1.56
O18 0.3339 0.9185 0.7419  1 P 1.56
O19 0.4822 0.7260 0.1321  1 P 1.56
O20 0.4822 0.7740 0.6321  1 P 1.56
O21 0.4865 0.7024 0.8494  1 P 1.57
O22 0.4865 0.7976 0.3494  1 P 1.57
O23 0.5135 0.2024 0.6506  1 P 1.57
O24 0.5135 0.2976 0.1506  1 P 1.57
O25 0.5178 0.2260 0.3679  1 P 1.56
O26 0.5178 0.2740 0.8679  1 P 1.56
O27 0.6661 0.0815 0.2581  1 P 1.56
O28 0.6661 0.4185 0.7581  1 P 1.56
O29 0.6685 0.0570 0.8292  1 P 1.55
O30 0.6685 0.4430 0.3292  1 P 1.55
O31 0.6802 0.0521 0.5476  1 P 1.52
O32 0.6802 0.4479 0.0476  1 P 1.52
O33 0.7577 0.7492 0.6744  1 P 1.53
O34 0.7577 0.7508 0.1744  1 P 1.53
O35 0.7721 0.7149 0.9459  1 P 1.54
O36 0.7721 0.7851 0.4459  1 P 1.54
O37 0.8484 0.1239 0.1263  1 P 1.54
O38 0.8484 0.3761 0.6263  1 P 1.54
O39 0.8831 0.0017 0.6172  2 P 1.63-1.64
O40 0.8831 0.4983 0.1172  2 P 1.63-1.64
O41 0.8910 0.2349 0.4327  1 P 1.54
O42 0.8910 0.2651 0.9327  1 P 1.54
O43 0.9629 0.7373 0.8625  1 P 1.52
O44 0.9629 0.7627 0.3625  1 P 1.52

Computed properties:
Energy relative to the elements = -2595.7 meV/atom
Total magnetic moment = 50.00 Bohr magnetons per cell

***

(2)
Density functional theory data (PBE with a Hubbard U) for Li2VFeP2H2O10 after structural relaxation.

Cell lengths 5.1745, 7.3930, 10.6845 Å; angles 104.53, 96.91, 108.71 degrees
Closest atoms and distances in Å follow each position.
Element x y z (fractional)
Li1 0.0478 0.1248 0.3012  5 O 2.01-2.20
Li2 0.4522 0.3749 0.1981  5 O 2.02-2.19
Li3 0.5478 0.6251 0.8019  5 O 2.02-2.19
Li4 0.9522 0.8752 0.6988  5 O 2.01-2.20
V1 0.0000 0.5000 0.0000  6 O 2.03-2.07
V2 0.5000 0.5000 0.5000  6 O 2.02-2.06
Fe1 0.0000 0.0000 0.0000  6 O 1.99-2.07
Fe2 0.5000 0.0000 0.5000  6 O 2.03-2.06
P1 0.0032 0.4485 0.6805  4 O 1.54-1.57
P2 0.4940 0.0500 0.8194  4 O 1.54-1.56
P3 0.5060 0.9500 0.1806  4 O 1.54-1.56
P4 0.9968 0.5515 0.3195  4 O 1.54-1.57
H1 0.1722 0.1887 0.5319  1 O 0.99
H2 0.3320 0.3086 0.9706  1 O 0.99
H3 0.6680 0.6914 0.0294  1 O 0.99
H4 0.8278 0.8113 0.4681  1 O 0.99
O1 0.1271 0.7779 0.3978  1 P 1.55
O2 0.1324 0.4860 0.8278  1 P 1.55
O3 0.1854 0.2987 0.0234  1 H 0.99
O4 0.2175 0.4492 0.3302  1 P 1.57
O5 0.2426 0.9454 0.8753  1 P 1.56
O6 0.2534 0.5549 0.6264  1 P 1.54
O7 0.2856 0.0516 0.1702  1 P 1.56
O8 0.3120 0.1990 0.4755  1 H 0.99
O9 0.3646 0.0102 0.6717  1 P 1.55
O10 0.3788 0.7238 0.1036  1 P 1.54
O11 0.6212 0.2762 0.8964  1 P 1.54
O12 0.6354 0.9898 0.3283  1 P 1.55
O13 0.6880 0.8010 0.5245  1 H 0.99
O14 0.7144 0.9484 0.8298  1 P 1.56
O15 0.7466 0.4451 0.3736  1 P 1.54
O16 0.7574 0.0546 0.1247  1 P 1.56
O17 0.7825 0.5508 0.6698  1 P 1.57
O18 0.8146 0.7013 0.9766  1 H 0.99
O19 0.8676 0.5140 0.1722  1 P 1.55
O20 0.8729 0.2221 0.6022  1 P 1.55

Computed properties:
Energy relative to the elements = -2362.0 meV/atom
Total magnetic moment = 14.00 Bohr magnetons per cell
Distance to the lowest polymorph of the same formula = 0.008 eV per atom

***

(3)
Density functional theory data (PBE with a Hubbard U) for Na5Ni9O16 after structural relaxation.

Cell lengths 5.1734, 11.5923, 5.4730 Å; angles 90.00, 109.06, 90.00 degrees
Closest atoms and distances in Å follow each position.
Element x y z (fractional)
Na1 0.0000 0.0000 0.0000  6 O 2.26-2.29
Na2 0.0000 0.2563 0.0000  6 O 2.28-2.37
Na3 0.0000 0.7437 0.0000  6 O 2.28-2.37
Na4 0.5000 0.1356 0.0000  6 O 2.31-2.39
Na5 0.5000 0.8644 0.0000  6 O 2.31-2.39
Ni1 0.0000 0.1255 0.5000  6 O 1.93-2.02
Ni2 0.0000 0.3789 0.5000  6 O 1.89-1.91
Ni3 0.0000 0.5000 0.0000  6 O 2.16-2.17
Ni4 0.0000 0.6211 0.5000  6 O 1.89-1.91
Ni5 0.0000 0.8745 0.5000  6 O 1.93-2.02
Ni6 0.5000 0.0000 0.5000  6 O 1.94-2.08
Ni7 0.5000 0.2521 0.5000  6 O 2.02-2.10
Ni8 0.5000 0.5000 0.5000  4 O 1.94
Ni9 0.5000 0.7479 0.5000  6 O 2.02-2.10
O1 0.2011 0.5000 0.7081  2 Ni 1.89
O2 0.2087 0.2536 0.6913  3 Ni 1.91-2.10
O3 0.2087 0.7464 0.6913  3 Ni 1.91-2.10
O4 0.2200 0.0000 0.6995  3 Ni 1.95-2.08
O5 0.2413 0.3858 0.3014  3 Ni 1.91-2.10
O6 0.2413 0.6142 0.3014  3 Ni 1.91-2.10
O7 0.2676 0.1211 0.3006  3 Ni 1.94-2.02
O8 0.2676 0.8789 0.3006  3 Ni 1.94-2.02
O9 0.7324 0.1211 0.6994  3 Ni 1.94-2.02
O10 0.7324 0.8789 0.6994  3 Ni 1.94-2.02
O11 0.7587 0.3858 0.6986  3 Ni 1.91-2.10
O12 0.7587 0.6142 0.6986  3 Ni 1.91-2.10
O13 0.7800 0.0000 0.3005  3 Ni 1.95-2.08
O14 0.7913 0.2536 0.3087  3 Ni 1.91-2.10
O15 0.7913 0.7464 0.3087  3 Ni 1.91-2.10
O16 0.7989 0.5000 0.2919  2 Ni 1.89

Computed properties:
Energy relative to the elements = -1191.7 meV/atom
Total magnetic moment = 9.00 Bohr magnetons per cell

***

(4)
Density functional theory data (PBE with a Hubbard U) for Li3V4P6O24 after structural relaxation.

Cell lengths 8.4267, 8.7200, 11.9587 Å; angles 90.20, 90.64, 90.15 degrees
Closest atoms and distances in Å follow each position.
Element x y z (fractional)
Li1 0.0000 0.0000 0.0000  4 O 1.98-2.05
Li2 0.0071 0.5834 0.3466  4 O 1.96-2.10
Li3 0.1086 0.2823 0.8362  4 O 1.99-2.09
Li4 0.4937 0.9036 0.8518  4 O 1.94-2.01
Li5 0.6068 0.2082 0.3364  4 O 2.03-2.05
Li6 0.7335 0.7099 0.4767  4 O 1.95-2.05
V1 0.1689 0.0231 0.2712  6 O 1.93-2.03
V2 0.1700 0.9607 0.7684  6 O 1.93-2.09
V3 0.1760 0.4654 0.0435  6 O 1.88-1.99
V4 0.1811 0.5218 0.5480  6 O 1.89-2.06
V5 0.6657 0.5281 0.2623  4 O 1.80-2.00
V6 0.6685 0.9706 0.0505  6 O 1.96-2.14
V7 0.6712 0.4700 0.7676  6 O 1.92-2.00
V8 0.6747 0.0293 0.5463  6 O 1.85-2.05
P1 0.0321 0.8779 0.5048  4 O 1.52-1.58
P2 0.0366 0.6053 0.8015  4 O 1.53-1.56
P3 0.3096 0.1086 0.0149  4 O 1.52-1.57
P4 0.3149 0.3768 0.3034  4 O 1.53-1.56
P5 0.3876 0.2470 0.6639  4 O 1.53-1.56
P6 0.4609 0.7455 0.6474  4 O 1.53-1.56
P7 0.5323 0.6101 0.0019  4 O 1.53-1.59
P8 0.5370 0.8868 0.3036  4 O 1.53-1.57
P9 0.8073 0.1141 0.8054  4 O 1.53-1.58
P10 0.8089 0.3885 0.5107  4 O 1.53-1.59
P11 0.8925 0.2472 0.1640  4 O 1.53-1.57
P12 0.9623 0.7434 0.1480  4 O 1.53-1.55
O1 0.0339 0.8493 0.2395  1 P 1.55
O2 0.0498 0.6999 0.4861  1 P 1.58
O3 0.0615 0.4889 0.8979  1 P 1.55
O4 0.0680 0.9191 0.6257  1 P 1.52
O5 0.0804 0.7691 0.8353  1 P 1.53
O6 0.1019 0.6572 0.0931  1 P 1.55
O7 0.1408 0.9715 0.4272  1 P 1.54
O8 0.1445 0.5478 0.7052  1 P 1.56
O9 0.1907 0.0465 0.1031  1 P 1.56
O10 0.2025 0.4698 0.3806  1 P 1.56
O11 0.2444 0.1756 0.7241  1 P 1.54
O12 0.2444 0.2695 0.9783  1 P 1.57
O13 0.2845 0.4250 0.1822  1 P 1.53
O14 0.2962 0.0021 0.9109  1 P 1.55
O15 0.3014 0.2016 0.3176  1 P 1.54
O16 0.3209 0.3562 0.5729  1 P 1.55
O17 0.3543 0.6654 0.5580  1 P 1.55
O18 0.3597 0.5627 0.9802  1 P 1.53
O19 0.3603 0.8947 0.2680  1 P 1.55
O20 0.3741 0.8680 0.7143  1 P 1.53
O21 0.4807 0.1153 0.0559  1 P 1.52
O22 0.4866 0.1254 0.6038  1 P 1.53
O23 0.4924 0.3326 0.7524  1 P 1.56
O24 0.4928 0.4130 0.3316  1 P 1.56
O25 0.5305 0.6375 0.7372  1 P 1.54
O26 0.5482 0.7851 0.9886  1 P 1.54
O27 0.5634 0.0000 0.4046  1 P 1.57
O28 0.5745 0.5715 0.1290  1 P 1.59
O29 0.5873 0.7230 0.3392  1 P 1.55
O30 0.6040 0.8190 0.5856  1 P 1.56
O31 0.6457 0.5172 0.9291  1 P 1.53
O32 0.6477 0.9451 0.2123  1 P 1.53
O33 0.6891 0.0238 0.8767  1 P 1.54
O34 0.7013 0.4509 0.6029  1 P 1.53
O35 0.7455 0.3196 0.2229  1 P 1.57
O36 0.7541 0.2267 0.4732  1 P 1.55
O37 0.7818 0.0649 0.6794  1 P 1.58
O38 0.7897 0.5022 0.4081  1 P 1.59
O39 0.7954 0.2893 0.8129  1 P 1.53
O40 0.8356 0.1332 0.0741  1 P 1.53
O41 0.8538 0.9104 0.4787  1 P 1.56
O42 0.8588 0.5948 0.7648  1 P 1.56
O43 0.8653 0.6256 0.2159  1 P 1.55
O44 0.8693 0.8287 0.0572  1 P 1.53
O45 0.9807 0.0772 0.8418  1 P 1.55
O46 0.9864 0.3935 0.5442  1 P 1.54
O47 0.9885 0.3716 0.1059  1 P 1.53
O48 0.9932 0.1637 0.2565  1 P 1.57

Computed properties:
Energy relative to the elements = -2664.3 meV/atom
Total magnetic moment = 10.00 Bohr magnetons per cell
Distance to the lowest polymorph of the same formula = 0.001 eV per atom

***

Q: The lowest total magnetic moment belongs to which entry?
A: Na5Ni9O16

***

Q: Which formula does entry 2 have?
A: Li2VFeP2H2O10

***

Q: Which formula does entry 1 have?
A: Li4Mn5P6O22